Na4GeO4 | r²SCAN | optimized geometry

Cell: 5.6576 5.6637 8.5459 Å, 81.35 71.36 68.11°
With the nearest neighbours (Å) after each atom.
Positions (direct):
Na (0.0184, 0.2655, 0.4362)  5 O 2.32-2.46
Na (0.1077, 0.7271, 0.1802)  4 O 2.31-2.34
Na (0.2589, 0.2429, 0.0129)  4 O 2.27-2.31
Na (0.4474, 0.2400, 0.6037)  5 O 2.34-2.48
Na (0.5526, 0.7600, 0.3963)  5 O 2.34-2.48
Na (0.7411, 0.7571, 0.9871)  4 O 2.27-2.31
Na (0.8923, 0.2729, 0.8198)  4 O 2.31-2.34
Na (0.9816, 0.7345, 0.5638)  5 O 2.32-2.46
Ge (0.3429, 0.7210, 0.7552)  4 O 1.76-1.78
Ge (0.6571, 0.2790, 0.2448)  4 O 1.76-1.78
O (0.1392, 0.5300, 0.8046)  1 Ge 1.78
O (0.2035, 0.9751, 0.6240)  1 Ge 1.78
O (0.3366, 0.4706, 0.3623)  1 Ge 1.78
O (0.3520, 0.8453, 0.9286)  1 Ge 1.76
O (0.6480, 0.1547, 0.0714)  1 Ge 1.76
O (0.6634, 0.5294, 0.6377)  1 Ge 1.78
O (0.7965, 0.0249, 0.3760)  1 Ge 1.78
O (0.8608, 0.4700, 0.1954)  1 Ge 1.78

Summary:
**ΔH_f (0 K)**: -1.899 eV/atom
**Spin magnetization**: 0.000 μB/atom
**Symmetry**: No. 2


Na6Ge2Se7 | r²SCAN | optimized geometry

Cell: 7.2202 7.2202 15.8379 Å, 99.46 99.46 98.40°
With the nearest neighbours (Å) after each atom.
Positions (direct):
Na (0.0000, 0.0000, 0.0000)  6 Se 2.88-3.18
Na (0.0000, 0.0000, 0.5000)  6 Se 2.88-3.18
Na (0.0082, 0.4519, 0.8593)  4 Se 2.97-3.09
Na (0.0798, 0.9202, 0.7500)  4 Se 2.83-2.90
Na (0.2372, 0.5292, 0.4277)  5 Se 2.99-3.20
Na (0.4519, 0.0082, 0.3593)  4 Se 2.97-3.09
Na (0.4708, 0.7628, 0.0723)  5 Se 2.99-3.20
Na (0.5292, 0.2372, 0.9277)  5 Se 2.99-3.20
Na (0.5481, 0.9918, 0.6407)  4 Se 2.97-3.09
Na (0.7628, 0.4708, 0.5723)  5 Se 2.99-3.20
Na (0.9202, 0.0798, 0.2500)  4 Se 2.83-2.90
Na (0.9918, 0.5481, 0.1407)  4 Se 2.97-3.09
Ge (0.2592, 0.4236, 0.6386)  4 Se 2.33-2.41
Ge (0.4236, 0.2592, 0.1386)  4 Se 2.33-2.41
Ge (0.5764, 0.7408, 0.8614)  4 Se 2.33-2.41
Ge (0.7408, 0.5764, 0.3614)  4 Se 2.33-2.41
Se (0.0028, 0.7488, 0.3211)  1 Ge 2.35
Se (0.1863, 0.7101, 0.6040)  1 Ge 2.33
Se (0.2363, 0.3709, 0.0277)  1 Ge 2.36
Se (0.2512, 0.9972, 0.1789)  1 Ge 2.35
Se (0.2899, 0.8137, 0.8960)  1 Ge 2.33
Se (0.3709, 0.2363, 0.5277)  1 Ge 2.36
Se (0.4608, 0.5392, 0.2500)  2 Ge 2.41
Se (0.5392, 0.4608, 0.7500)  2 Ge 2.41
Se (0.6291, 0.7637, 0.4723)  1 Ge 2.36
Se (0.7101, 0.1863, 0.1040)  1 Ge 2.33
Se (0.7488, 0.0028, 0.8211)  1 Ge 2.35
Se (0.7637, 0.6291, 0.9723)  1 Ge 2.36
Se (0.8137, 0.2899, 0.3960)  1 Ge 2.33
Se (0.9972, 0.2512, 0.6789)  1 Ge 2.35

Summary:
**ΔH_f (0 K)**: -1.004 eV/atom
**Spin magnetization**: 0.000 μB/atom
**Symmetry**: No. 15


Na2GeSe3 | r²SCAN | optimized geometry

Cell: 7.1128 16.1127 6.0832 Å, 90.00 114.01 90.00°
With the nearest neighbours (Å) after each atom.
Positions (direct):
Na (0.0700, 0.1674, 0.0303)  5 Se 2.97-3.21
Na (0.0700, 0.3326, 0.5303)  5 Se 2.97-3.21
Na (0.2837, 0.5245, 0.1669)  5 Se 2.93-3.19
Na (0.2837, 0.9755, 0.6669)  5 Se 2.93-3.19
Na (0.7163, 0.0245, 0.3331)  5 Se 2.93-3.19
Na (0.7163, 0.4755, 0.8331)  5 Se 2.93-3.19
Na (0.9300, 0.6674, 0.4697)  5 Se 2.97-3.21
Na (0.9300, 0.8326, 0.9697)  5 Se 2.97-3.21
Ge (0.4712, 0.1698, 0.6587)  4 Se 2.32-2.41
Ge (0.4712, 0.3302, 0.1587)  4 Se 2.32-2.41
Ge (0.5288, 0.6698, 0.8413)  4 Se 2.32-2.41
Ge (0.5288, 0.8302, 0.3413)  4 Se 2.32-2.41
Se (0.1230, 0.1468, 0.5550)  1 Ge 2.32
Se (0.1230, 0.3532, 0.0550)  1 Ge 2.32
Se (0.3040, 0.5611, 0.6618)  1 Ge 2.32
Se (0.3040, 0.9389, 0.1618)  1 Ge 2.32
Se (0.4436, 0.6928, 0.1807)  2 Ge 2.40-2.41
Se (0.4436, 0.8072, 0.6807)  2 Ge 2.40-2.41
Se (0.5564, 0.1928, 0.3193)  2 Ge 2.40-2.41
Se (0.5564, 0.3072, 0.8193)  2 Ge 2.40-2.41
Se (0.6960, 0.0611, 0.8382)  1 Ge 2.32
Se (0.6960, 0.4389, 0.3382)  1 Ge 2.32
Se (0.8770, 0.6468, 0.9450)  1 Ge 2.32
Se (0.8770, 0.8532, 0.4450)  1 Ge 2.32

Summary:
**ΔH_f (0 K)**: -0.904 eV/atom
**Spin magnetization**: 0.000 μB/atom
**Symmetry**: No. 14


Na2ZnGe | r²SCAN | optimized geometry

Cell: 5.8603 5.8603 5.4327 Å, 90.00 90.00 77.88°
With the nearest neighbours (Å) after each atom.
Positions (direct):
Na (0.0322, 0.3173, 0.2500)  4 Ge 3.11-3.22, 5 Na 3.19-3.43, 4 Zn 3.36-3.43
Na (0.3173, 0.0322, 0.7500)  4 Ge 3.11-3.22, 5 Na 3.19-3.43, 4 Zn 3.36-3.43
Na (0.6827, 0.9678, 0.2500)  4 Ge 3.11-3.22, 5 Na 3.19-3.43, 4 Zn 3.36-3.43
Na (0.9678, 0.6827, 0.7500)  4 Ge 3.11-3.22, 5 Na 3.19-3.43, 4 Zn 3.36-3.43
Zn (0.5000, 0.5000, 0.0000)  2 Ge 2.40
Zn (0.5000, 0.5000, 0.5000)  2 Ge 2.40
Ge (0.2306, 0.7694, 0.2500)  2 Zn 2.40
Ge (0.7694, 0.2306, 0.7500)  2 Zn 2.40

Summary:
**ΔH_f (0 K)**: -0.202 eV/atom
**Spin magnetization**: 0.000 μB/atom
**Symmetry**: No. 63


NbNiGe | r²SCAN | optimized geometry

Cell: 6.3138 3.7582 7.1915 Å, 90.00 90.00 90.00°
With the nearest neighbours (Å) after each atom.
Positions (direct):
Nb (0.0172, 0.2500, 0.1760)  5 Ge 2.69-2.71, 6 Ni 2.85-2.97
Nb (0.4828, 0.7500, 0.6760)  5 Ge 2.69-2.71, 6 Ni 2.85-2.97
Nb (0.5172, 0.2500, 0.3240)  5 Ge 2.69-2.71, 6 Ni 2.85-2.97
Nb (0.9828, 0.7500, 0.8240)  5 Ge 2.69-2.71, 6 Ni 2.85-2.97
Ni (0.1584, 0.2500, 0.5699)  4 Ge 2.34-2.40
Ni (0.3416, 0.7500, 0.0699)  4 Ge 2.34-2.40
Ni (0.6584, 0.2500, 0.9301)  4 Ge 2.34-2.40
Ni (0.8416, 0.7500, 0.4301)  4 Ge 2.34-2.40
Ge (0.2174, 0.7500, 0.3839)  4 Ni 2.34-2.40
Ge (0.2826, 0.2500, 0.8839)  4 Ni 2.34-2.40
Ge (0.7174, 0.7500, 0.1161)  4 Ni 2.34-2.40
Ge (0.7826, 0.2500, 0.6161)  4 Ni 2.34-2.40

Summary:
**ΔH_f (0 K)**: -0.520 eV/atom
**Spin magnetization**: 0.000 μB/atom
**Symmetry**: No. 62


Nb3GeS6 | r²SCAN | optimized geometry

Cell: 5.8295 5.8295 13.5399 Å, 90.00 90.00 120.00°
With the nearest neighbours (Å) after each atom.
Positions (direct):
Nb (0.0000, 0.0000, 0.2500)  6 S 2.50
Nb (0.0000, 0.0000, 0.7500)  6 S 2.50
Nb (0.3333, 0.6667, 0.2500)  6 S 2.49
Nb (0.3333, 0.6667, 0.7500)  6 S 2.49
Nb (0.6667, 0.3333, 0.2500)  6 S 2.49
Nb (0.6667, 0.3333, 0.7500)  6 S 2.49
Ge (0.0000, 0.0000, 0.0000)  6 S 2.66
Ge (0.0000, 0.0000, 0.5000)  6 S 2.66
S (0.0000, 0.3341, 0.1343)  3 Nb 2.49-2.50, 1 Ge 2.66
S (0.0000, 0.3341, 0.3657)  3 Nb 2.49-2.50, 1 Ge 2.66
S (0.0000, 0.6659, 0.6343)  3 Nb 2.49-2.50, 1 Ge 2.66
S (0.0000, 0.6659, 0.8657)  3 Nb 2.49-2.50, 1 Ge 2.66
S (0.3341, 0.0000, 0.1343)  3 Nb 2.49-2.50, 1 Ge 2.66
S (0.3341, 0.0000, 0.3657)  3 Nb 2.49-2.50, 1 Ge 2.66
S (0.3341, 0.3341, 0.6343)  3 Nb 2.49-2.50, 1 Ge 2.66
S (0.3341, 0.3341, 0.8657)  3 Nb 2.49-2.50, 1 Ge 2.66
S (0.6659, 0.0000, 0.6343)  3 Nb 2.49-2.50, 1 Ge 2.66
S (0.6659, 0.0000, 0.8657)  3 Nb 2.49-2.50, 1 Ge 2.66
S (0.6659, 0.6659, 0.1343)  3 Nb 2.49-2.50, 1 Ge 2.66
S (0.6659, 0.6659, 0.3657)  3 Nb 2.49-2.50, 1 Ge 2.66

Summary:
**ΔH_f (0 K)**: -1.072 eV/atom
**Spin magnetization**: 0.000 μB/atom
**Symmetry**: No. 193


Sc2Nb3Ge3 | r²SCAN | optimized geometry

Cell: 5.4317 7.8708 7.8708 Å, 120.56 90.00 90.00°
With the nearest neighbours (Å) after each atom.
Positions (direct):
Sc (0.0000, 0.0000, 0.0000)  5 Ge 2.69-2.92
Sc (0.0000, 0.2471, 0.5011)  5 Ge 2.68-2.91
Sc (0.0000, 0.5011, 0.2471)  5 Ge 2.68-2.91
Sc (0.5000, 0.4996, 0.4996)  5 Ge 2.68-2.92
Nb (0.2497, 0.5803, 0.9142)  2 Nb 2.71-2.72, 6 Ge 2.76-2.80
Nb (0.2497, 0.9142, 0.5803)  2 Nb 2.71-2.72, 6 Ge 2.76-2.80
Nb (0.5000, 0.2464, 0.9787)  5 Ge 2.67-2.88
Nb (0.5000, 0.9787, 0.2464)  5 Ge 2.67-2.88
Nb (0.7503, 0.5803, 0.9142)  2 Nb 2.71-2.72, 6 Ge 2.76-2.80
Nb (0.7503, 0.9142, 0.5803)  2 Nb 2.71-2.72, 6 Ge 2.76-2.80
Ge (0.0000, 0.2465, 0.8569)  3 Sc 2.68-2.80, 6 Nb 2.76-2.88
Ge (0.0000, 0.6382, 0.6382)  5 Sc 2.70-2.92, 4 Nb 2.79
Ge (0.0000, 0.8569, 0.2465)  3 Sc 2.68-2.80, 6 Nb 2.76-2.88
Ge (0.5000, 0.2464, 0.6321)  6 Nb 2.67-2.79, 3 Sc 2.68-2.91
Ge (0.5000, 0.6321, 0.2464)  6 Nb 2.67-2.79, 3 Sc 2.68-2.91
Ge (0.5000, 0.8620, 0.8620)  6 Nb 2.68-2.80, 3 Sc 2.83-2.92

Summary:
**ΔH_f (0 K)**: -0.693 eV/atom
**Spin magnetization**: 0.000 μB/atom
**Symmetry**: No. 38


Sc2Nb3Ge4 | r²SCAN | optimized geometry

Cell: 6.8386 13.2958 7.0213 Å, 90.00 90.00 90.00°
With the nearest neighbours (Å) after each atom.
Positions (direct):
Sc (0.0057, 0.0946, 0.1772)  7 Ge 2.77-2.99
Sc (0.0057, 0.4054, 0.1772)  7 Ge 2.77-2.99
Sc (0.4943, 0.5946, 0.6772)  7 Ge 2.77-2.99
Sc (0.4943, 0.9054, 0.6772)  7 Ge 2.77-2.99
Sc (0.5057, 0.0946, 0.3228)  7 Ge 2.77-2.99
Sc (0.5057, 0.4054, 0.3228)  7 Ge 2.77-2.99
Sc (0.9943, 0.5946, 0.8228)  7 Ge 2.77-2.99
Sc (0.9943, 0.9054, 0.8228)  7 Ge 2.77-2.99
Nb (0.1584, 0.6257, 0.3281)  6 Ge 2.60-2.79
Nb (0.1584, 0.8743, 0.3281)  6 Ge 2.60-2.79
Nb (0.1655, 0.2500, 0.5107)  6 Ge 2.67-2.81, 2 Nb 2.99
Nb (0.3345, 0.7500, 0.0107)  6 Ge 2.67-2.81, 2 Nb 2.99
Nb (0.3416, 0.1257, 0.8281)  6 Ge 2.60-2.79
Nb (0.3416, 0.3743, 0.8281)  6 Ge 2.60-2.79
Nb (0.6584, 0.6257, 0.1719)  6 Ge 2.60-2.79
Nb (0.6584, 0.8743, 0.1719)  6 Ge 2.60-2.79
Nb (0.6655, 0.2500, 0.9893)  6 Ge 2.67-2.81, 2 Nb 2.99
Nb (0.8345, 0.7500, 0.4893)  6 Ge 2.67-2.81, 2 Nb 2.99
Nb (0.8416, 0.1257, 0.6719)  6 Ge 2.60-2.79
Nb (0.8416, 0.3743, 0.6719)  6 Ge 2.60-2.79
Ge (0.0416, 0.2500, 0.8887)  1 Ge 2.56, 6 Nb 2.63-2.79
Ge (0.1813, 0.0395, 0.5342)  4 Nb 2.60-2.81, 1 Ge 2.74, 2 Sc 2.77-2.87
Ge (0.1813, 0.4605, 0.5342)  4 Nb 2.60-2.81, 1 Ge 2.74, 2 Sc 2.77-2.87
Ge (0.1944, 0.7500, 0.6469)  1 Ge 2.56, 4 Nb 2.70-2.79, 2 Sc 2.77
Ge (0.3056, 0.2500, 0.1469)  1 Ge 2.56, 4 Nb 2.70-2.79, 2 Sc 2.77
Ge (0.3187, 0.5395, 0.0342)  4 Nb 2.60-2.81, 1 Ge 2.74, 2 Sc 2.77-2.87
Ge (0.3187, 0.9605, 0.0342)  4 Nb 2.60-2.81, 1 Ge 2.74, 2 Sc 2.77-2.87
Ge (0.4584, 0.7500, 0.3887)  1 Ge 2.56, 6 Nb 2.63-2.79
Ge (0.5416, 0.2500, 0.6113)  1 Ge 2.56, 6 Nb 2.63-2.79
Ge (0.6813, 0.0395, 0.9658)  4 Nb 2.60-2.81, 1 Ge 2.74, 2 Sc 2.77-2.87
Ge (0.6813, 0.4605, 0.9658)  4 Nb 2.60-2.81, 1 Ge 2.74, 2 Sc 2.77-2.87
Ge (0.6944, 0.7500, 0.8531)  1 Ge 2.56, 4 Nb 2.70-2.79, 2 Sc 2.77
Ge (0.8056, 0.2500, 0.3531)  1 Ge 2.56, 4 Nb 2.70-2.79, 2 Sc 2.77
Ge (0.8187, 0.5395, 0.4658)  4 Nb 2.60-2.81, 1 Ge 2.74, 2 Sc 2.77-2.87
Ge (0.8187, 0.9605, 0.4658)  4 Nb 2.60-2.81, 1 Ge 2.74, 2 Sc 2.77-2.87
Ge (0.9584, 0.7500, 0.1113)  1 Ge 2.56, 6 Nb 2.63-2.79

Summary:
**ΔH_f (0 K)**: -0.777 eV/atom
**Spin magnetization**: 0.000 μB/atom
**Symmetry**: No. 62